Material: CaMg6Al
Method: DFT, PBE
State: relaxed

Calculated values
As for the energy above the most stable polymorph in this dataset: 0 kJ/mol of formula units.

Cell lengths 5.161, 6.446, 11.527 Å; angles 90.00, 90.00, 90.00 degrees
Fractional coordinates of all 16 atoms:
Ca: 0.500 0.000 0.669
Ca: 0.500 0.500 0.169
Mg: 0.500 0.753 0.918
Mg: 0.000 0.238 0.083
Mg: 0.000 0.762 0.083
Mg: 0.000 0.262 0.583
Mg: 0.000 0.500 0.339
Mg: 0.000 0.738 0.583
Mg: 0.000 0.000 0.329
Mg: 0.500 0.253 0.418
Mg: 0.000 0.000 0.839
Mg: 0.000 0.500 0.829
Mg: 0.500 0.247 0.918
Mg: 0.500 0.747 0.418
Al: 0.500 0.000 0.163
Al: 0.500 0.500 0.663